*one*
Na5As2O18 | PBE | optimized geometry

```
Na5As2O18
1.0
8.035 0.000 0.000
0.000 7.645 0.000
-4.921 0.000 15.067
Na As O
10 4 36
direct
0.000 0.000 0.000
0.000 0.000 0.500
0.272 0.018 0.235
0.272 0.982 0.735
0.374 0.380 0.930
0.374 0.620 0.430
0.626 0.380 0.570
0.626 0.620 0.070
0.728 0.018 0.265
0.728 0.982 0.765
0.365 0.331 0.145
0.365 0.669 0.645
0.635 0.331 0.355
0.635 0.669 0.855
0.000 0.014 0.250
0.000 0.986 0.750
0.020 0.446 0.976
0.020 0.554 0.476
0.071 0.102 0.859
0.071 0.898 0.359
0.105 0.259 0.845
0.105 0.741 0.345
0.225 0.159 0.104
0.225 0.841 0.604
0.278 0.486 0.673
0.278 0.514 0.173
0.430 0.000 0.470
0.430 0.000 0.970
0.492 0.222 0.709
0.492 0.778 0.209
0.499 0.367 0.081
0.499 0.633 0.581
0.500 0.223 0.250
0.500 0.777 0.750
0.501 0.367 0.419
0.501 0.633 0.919
0.508 0.222 0.791
0.508 0.778 0.291
0.570 0.000 0.030
0.570 0.000 0.530
0.722 0.486 0.827
0.722 0.514 0.327
0.775 0.159 0.396
0.775 0.841 0.896
0.895 0.259 0.655
0.895 0.741 0.155
0.929 0.102 0.641
0.929 0.898 0.141
0.980 0.446 0.524
0.980 0.554 0.024
```

Computed properties:
- Space group: P2/c (13)
- ρ: 1.98 g/cm³

***

*two*
Na5As2O18 | PBE | optimized geometry

```
Na5As2O18
1.0
7.281 0.000 0.000
0.000 7.439 0.000
-3.838 0.000 14.801
Na As O
10 4 36
direct
0.000 0.000 0.000
0.000 0.000 0.500
0.196 0.034 0.226
0.196 0.966 0.726
0.351 0.344 0.909
0.351 0.656 0.409
0.649 0.344 0.591
0.649 0.656 0.091
0.804 0.034 0.274
0.804 0.966 0.774
0.412 0.328 0.139
0.412 0.672 0.639
0.588 0.328 0.361
0.588 0.672 0.861
0.000 0.372 0.250
0.000 0.628 0.750
0.002 0.436 0.526
0.002 0.564 0.026
0.038 0.457 0.799
0.038 0.543 0.299
0.102 0.101 0.850
0.102 0.899 0.350
0.235 0.179 0.094
0.235 0.821 0.594
0.338 0.459 0.652
0.338 0.541 0.152
0.406 0.340 0.412
0.406 0.660 0.912
0.429 0.012 0.968
0.429 0.988 0.468
0.488 0.175 0.789
0.488 0.825 0.289
0.500 0.219 0.250
0.500 0.781 0.750
0.512 0.175 0.711
0.512 0.825 0.211
0.571 0.012 0.532
0.571 0.988 0.032
0.594 0.340 0.088
0.594 0.660 0.588
0.662 0.459 0.848
0.662 0.541 0.348
0.765 0.179 0.406
0.765 0.821 0.906
0.898 0.101 0.650
0.898 0.899 0.150
0.962 0.457 0.701
0.962 0.543 0.201
0.998 0.436 0.974
0.998 0.564 0.474
```

Computed properties:
- Space group: P2/c (13)
- ρ: 2.29 g/cm³

***

Winner for stability: *one*

***

*one*
Na3PrAs2O8 | PBE | optimized geometry

```
Na3PrAs2O8
1.0
14.399 0.000 0.000
0.000 5.624 0.000
0.000 0.000 19.575
Na Pr As O
24 8 16 64
direct
0.033 0.043 0.106
0.047 0.484 0.347
0.116 0.994 0.442
0.138 0.487 0.166
0.203 0.970 0.261
0.217 0.522 0.500
0.283 0.522 0.000
0.297 0.970 0.761
0.362 0.487 0.666
0.384 0.994 0.942
0.453 0.484 0.847
0.467 0.043 0.606
0.533 0.957 0.106
0.547 0.516 0.347
0.616 0.006 0.442
0.638 0.513 0.166
0.703 0.030 0.261
0.717 0.478 0.500
0.783 0.478 0.000
0.797 0.030 0.761
0.862 0.513 0.666
0.884 0.006 0.942
0.953 0.516 0.847
0.967 0.957 0.606
0.112 0.428 0.691
0.137 0.060 0.920
0.363 0.060 0.420
0.388 0.428 0.191
0.612 0.572 0.691
0.637 0.940 0.920
0.863 0.940 0.420
0.888 0.572 0.191
0.023 0.974 0.770
0.025 0.535 0.013
0.227 0.515 0.841
0.227 0.959 0.598
0.273 0.515 0.341
0.273 0.959 0.098
0.475 0.535 0.513
0.477 0.974 0.270
0.523 0.026 0.770
0.525 0.465 0.013
0.727 0.041 0.598
0.727 0.485 0.841
0.773 0.041 0.098
0.773 0.485 0.341
0.975 0.465 0.513
0.977 0.026 0.270
0.004 0.486 0.099
0.008 0.291 0.232
0.009 0.034 0.355
0.033 0.796 0.228
0.035 0.836 0.996
0.060 0.591 0.463
0.110 0.452 0.844
0.123 0.105 0.612
0.129 0.392 0.997
0.140 0.030 0.767
0.189 0.087 0.147
0.215 0.659 0.618
0.217 0.294 0.386
0.241 0.515 0.256
0.244 0.785 0.376
0.248 0.967 0.511
0.252 0.967 0.011
0.256 0.785 0.876
0.259 0.515 0.756
0.283 0.294 0.886
0.285 0.659 0.118
0.311 0.087 0.647
0.360 0.030 0.267
0.371 0.392 0.497
0.377 0.105 0.112
0.390 0.452 0.344
0.440 0.591 0.963
0.465 0.836 0.496
0.467 0.796 0.728
0.491 0.034 0.855
0.492 0.291 0.732
0.496 0.486 0.599
0.504 0.514 0.099
0.508 0.709 0.232
0.509 0.966 0.355
0.533 0.204 0.228
0.535 0.164 0.996
0.560 0.409 0.463
0.610 0.548 0.844
0.623 0.895 0.612
0.629 0.608 0.997
0.640 0.970 0.767
0.689 0.913 0.147
0.715 0.341 0.618
0.717 0.706 0.386
0.741 0.485 0.256
0.744 0.215 0.376
0.748 0.033 0.511
0.752 0.033 0.011
0.756 0.215 0.876
0.759 0.485 0.756
0.783 0.706 0.886
0.785 0.341 0.118
0.811 0.913 0.647
0.860 0.970 0.267
0.871 0.608 0.497
0.877 0.895 0.112
0.890 0.548 0.344
0.940 0.409 0.963
0.965 0.164 0.496
0.967 0.204 0.728
0.991 0.966 0.855
0.992 0.709 0.732
0.996 0.514 0.599
```

Computed properties:
- Space group: Pca2_1 (29)
- ρ: 4.09 g/cm³

***

*two*
Na3PrAs2O8 | PBE | optimized geometry

```
Na3PrAs2O8
1.0
5.957 0.000 0.000
-2.978 5.159 0.000
0.000 0.000 7.409
Na Pr As O
3 1 2 8
direct
0.000 0.000 0.000
0.333 0.667 0.701
0.667 0.333 0.299
0.000 0.000 0.500
0.333 0.667 0.214
0.667 0.333 0.786
0.179 0.357 0.305
0.179 0.821 0.305
0.333 0.667 0.989
0.357 0.179 0.695
0.643 0.821 0.305
0.667 0.333 0.011
0.821 0.179 0.695
0.821 0.643 0.695
```

Computed properties:
- Space group: P-3m1 (164)
- ρ: 3.56 g/cm³

***

Winner for stability: *one*